Version one
This record from the Materials Project database describes crystalline Li2AgF3 at its relaxed geometry. The functional is PBE.

Unit cell a=5.449 b=5.499 c=9.218 alpha=90.00 beta=90.00 gamma=90.00
Element x y z (fractional)
F: 0.664 0.250 0.786
F: 0.493 0.250 0.503
F: 0.336 0.750 0.214
F: 0.993 0.750 0.997
F: 0.336 0.250 0.222
F: 0.007 0.250 0.003
F: 0.507 0.750 0.497
F: 0.836 0.750 0.278
F: 0.164 0.750 0.714
F: 0.836 0.250 0.286
F: 0.164 0.250 0.722
F: 0.664 0.750 0.778
Li: 0.537 0.497 0.337
Li: 0.037 0.503 0.163
Li: 0.463 0.503 0.663
Li: 0.463 0.997 0.663
Li: 0.537 0.003 0.337
Li: 0.963 0.497 0.837
Li: 0.037 0.997 0.163
Li: 0.963 0.003 0.837
Ag: 0.041 0.250 0.489
Ag: 0.959 0.750 0.511
Ag: 0.459 0.250 0.989
Ag: 0.541 0.750 0.011

The calculation puts the magnetization at 0.0 Bohr magnetons per cell.

Version two
This record from the Materials Project database describes crystalline Li2AgF3 at its relaxed geometry. The functional is PBE.

Unit cell a=5.458 b=5.458 c=5.520 alpha=80.89 beta=80.89 gamma=119.78
Element x y z (fractional)
F: 0.106 0.406 0.694
F: 0.406 0.106 0.694
F: 0.594 0.894 0.306
F: 0.196 0.196 0.250
F: 0.804 0.804 0.750
F: 0.894 0.594 0.306
Li: 0.000 0.000 0.000
Li: 0.155 0.845 0.500
Li: 0.500 0.500 0.500
Li: 0.845 0.155 0.500
Ag: 0.677 0.323 0.000
Ag: 0.323 0.677 0.000

The calculation puts the magnetization at 0.0 Bohr magnetons per cell.

Version three
This record from the Materials Project database describes crystalline Li2AgF3 at its relaxed geometry. The functional is PBE.

Unit cell a=2.988 b=2.988 c=8.221 alpha=90.00 beta=90.00 gamma=120.00
Element x y z (fractional)
Li: 0.333 0.667 0.642
Li: 0.667 0.333 0.358
Ag: 0.000 0.000 0.000
F: 0.333 0.667 0.223
F: 0.667 0.333 0.777
F: 0.000 0.000 0.500

The calculation puts the magnetization at 0.0 Bohr magnetons per cell.

Best to worst by energy: version three, version two, version one.

Version one
This record from the Materials Project database describes crystalline Ba3Nb2N4 at its relaxed geometry. The functional is PBE.

Unit cell a=6.376 b=11.128 c=10.557 alpha=90.00 beta=90.00 gamma=90.00
Element x y z (fractional)
Ba: 0.381 0.659 0.920
Ba: 0.881 0.659 0.080
Ba: 0.119 0.159 0.580
Ba: 0.881 0.841 0.420
Ba: 0.381 0.841 0.580
Ba: 0.619 0.341 0.080
Ba: 0.619 0.159 0.420
Ba: 0.250 0.500 0.597
Ba: 0.750 0.500 0.403
Ba: 0.250 0.000 0.903
Ba: 0.119 0.341 0.920
Ba: 0.750 0.000 0.097
Nb: 0.137 0.250 0.250
Nb: 0.250 0.500 0.264
Nb: 0.637 0.250 0.750
Nb: 0.363 0.750 0.250
Nb: 0.750 0.000 0.764
Nb: 0.750 0.500 0.736
Nb: 0.863 0.750 0.750
Nb: 0.250 0.000 0.236
N: 0.519 0.086 0.669
N: 0.665 0.649 0.638
N: 0.835 0.149 0.862
N: 0.519 0.414 0.831
N: 0.019 0.414 0.169
N: 0.481 0.914 0.331
N: 0.981 0.586 0.831
N: 0.335 0.149 0.138
N: 0.019 0.086 0.331
N: 0.835 0.351 0.638
N: 0.165 0.649 0.362
N: 0.981 0.914 0.669
N: 0.481 0.586 0.169
N: 0.665 0.851 0.862
N: 0.165 0.851 0.138
N: 0.335 0.351 0.362

The calculation puts the magnetization at 0.0 Bohr magnetons per cell.

Version two
This record from the Materials Project database describes crystalline Ba3Nb2N4 at its relaxed geometry. The functional is PBE.

Unit cell a=10.056 b=8.647 c=6.249 alpha=90.00 beta=70.90 gamma=115.46
Element x y z (fractional)
N: 0.339 0.351 0.114
N: 0.661 0.012 0.386
N: 0.596 0.223 0.821
N: 0.339 0.988 0.614
N: 0.661 0.649 0.886
N: 0.404 0.627 0.679
N: 0.404 0.777 0.179
N: 0.596 0.373 0.321
Nb: 0.571 0.394 0.024
Nb: 0.571 0.178 0.524
Nb: 0.429 0.822 0.476
Nb: 0.429 0.606 0.976
Ba: 0.278 0.294 0.588
Ba: 0.000 0.720 0.750
Ba: 0.000 0.280 0.250
Ba: 0.278 0.984 0.088
Ba: 0.722 0.706 0.412
Ba: 0.722 0.016 0.912

The calculation puts the magnetization at 0.1 Bohr magnetons per cell.

Best to worst by energy: version two, version one.

Version one
This record from the Materials Project database describes crystalline Ba6MgNb2IrCl2O12 at its relaxed geometry. The functional is PBE.

Unit cell a=6.011 b=6.021 c=16.069 alpha=82.74 beta=97.26 gamma=120.11
Element x y z (fractional)
Nb: 0.903 0.097 0.176
Nb: 0.057 0.945 0.814
O: 0.788 0.769 0.914
O: 0.241 0.774 0.882
O: 0.861 0.124 0.764
O: 0.250 0.166 0.116
O: 0.088 0.431 0.227
O: 0.792 0.206 0.075
O: 0.225 0.214 0.913
O: 0.834 0.749 0.116
O: 0.569 0.912 0.228
O: 0.351 0.158 0.749
O: 0.851 0.647 0.750
O: 0.081 0.920 0.271
Ba: 0.401 0.599 0.015
Ba: 0.386 0.618 0.772
Ba: 0.584 0.417 0.237
Ba: 0.686 0.315 0.641
Ba: 0.727 0.271 0.896
Ba: 0.280 0.721 0.375
Ir: 0.037 0.962 0.012
Mg: 0.191 0.810 0.176
Cl: 0.668 0.333 0.431
Cl: 0.327 0.675 0.574

The calculation puts the magnetization at 1.0 Bohr magnetons per cell.

Version two
This record from the Materials Project database describes crystalline Ba6MgNb2IrCl2O12 at its relaxed geometry. The functional is PBE.

Unit cell a=6.070 b=6.071 c=15.027 alpha=90.00 beta=90.00 gamma=120.02
Element x y z (fractional)
Ba: 0.667 0.333 0.207
Ba: 0.333 0.667 0.364
Ba: 0.333 0.667 0.072
Ba: 0.667 0.333 0.928
Ba: 0.667 0.333 0.636
Ba: 0.333 0.667 0.793
O: 0.162 0.838 0.242
O: 0.324 0.162 0.758
O: 0.846 0.693 0.083
O: 0.154 0.307 0.917
O: 0.693 0.846 0.918
O: 0.838 0.676 0.758
O: 0.162 0.324 0.242
O: 0.676 0.838 0.242
O: 0.154 0.846 0.917
O: 0.307 0.154 0.082
O: 0.846 0.154 0.083
O: 0.838 0.162 0.758
Cl: 0.333 0.667 0.581
Cl: 0.667 0.333 0.419
Nb: 0.000 0.000 0.186
Nb: 0.000 0.000 0.814
Ir: 0.000 0.000 0.000
Mg: 0.000 0.000 0.500

The calculation puts the magnetization at 0.9 Bohr magnetons per cell.

Version three
This record from the Materials Project database describes crystalline Ba6MgNb2IrCl2O12 at its relaxed geometry. The functional is PBE.

Unit cell a=6.262 b=6.277 c=15.276 alpha=83.06 beta=96.72 gamma=123.25
Element x y z (fractional)
Cl: 0.672 0.328 0.427
Cl: 0.328 0.672 0.573
O: 0.907 0.090 0.772
O: 0.378 0.118 0.751
O: 0.717 0.781 0.081
O: 0.747 0.249 0.101
O: 0.093 0.910 0.228
O: 0.228 0.296 0.085
O: 0.622 0.882 0.249
O: 0.283 0.219 0.919
O: 0.890 0.619 0.749
O: 0.253 0.751 0.899
O: 0.110 0.381 0.251
O: 0.772 0.704 0.915
Ba: 0.405 0.584 0.777
Ba: 0.722 0.268 0.639
Ba: 0.278 0.732 0.361
Ba: 0.595 0.416 0.223
Ba: 0.740 0.249 0.896
Ba: 0.260 0.751 0.104
Nb: 0.083 0.904 0.820
Nb: 0.917 0.096 0.180
Ir: 0.000 0.000 0.000
Mg: 0.500 0.500 0.000

The calculation puts the magnetization at 1.0 Bohr magnetons per cell.

Best to worst by energy: version three, version one, version two.

Version one
This record from the Materials Project database describes crystalline Mg3BeAl8O16 at its relaxed geometry. The functional is PBE.

Unit cell a=5.740 b=5.740 c=18.508 alpha=90.00 beta=90.00 gamma=120.00
Element x y z (fractional)
O: 0.186 0.814 0.547
O: 0.480 0.520 0.300
O: 0.667 0.333 0.548
O: 0.961 0.480 0.800
O: 0.676 0.838 0.917
O: 0.186 0.814 0.165
O: 0.667 0.333 0.161
O: 0.814 0.186 0.047
O: 0.667 0.333 0.917
O: 0.333 0.667 0.661
O: 0.000 0.000 0.309
O: 0.838 0.676 0.417
O: 0.520 0.039 0.800
O: 0.838 0.162 0.417
O: 0.162 0.324 0.917
O: 0.629 0.814 0.547
O: 0.372 0.186 0.665
O: 0.480 0.961 0.300
O: 0.000 0.000 0.809
O: 0.628 0.814 0.165
O: 0.371 0.186 0.047
O: 0.039 0.520 0.300
O: 0.333 0.667 0.417
O: 0.186 0.371 0.547
O: 0.186 0.372 0.165
O: 0.162 0.838 0.917
O: 0.814 0.629 0.047
O: 0.520 0.480 0.800
O: 0.333 0.667 0.048
O: 0.814 0.186 0.665
O: 0.814 0.628 0.665
O: 0.324 0.162 0.417
Al: 0.333 0.667 0.950
Al: 0.167 0.833 0.361
Al: 0.498 0.502 0.606
Al: 0.667 0.333 0.450
Al: 0.003 0.502 0.606
Al: 0.502 0.498 0.106
Al: 0.334 0.167 0.861
Al: 0.833 0.666 0.861
Al: 0.667 0.333 0.733
Al: 0.502 0.003 0.106
Al: 0.333 0.667 0.233
Al: 0.997 0.498 0.106
Al: 0.833 0.167 0.861
Al: 0.666 0.833 0.361
Al: 0.498 0.997 0.606
Al: 0.167 0.334 0.361
Mg: 0.000 0.000 0.701
Mg: 0.333 0.667 0.767
Mg: 0.000 0.000 0.000
Mg: 0.000 0.000 0.500
Mg: 0.667 0.333 0.267
Mg: 0.000 0.000 0.201
Be: 0.333 0.667 0.504
Be: 0.667 0.333 0.004

The calculation puts the magnetization at 0.0 Bohr magnetons per cell. The value obtained for the piezoelectric modulus e_max is 0.08 C/m².

Version two
This record from the Materials Project database describes crystalline Mg3BeAl8O16 at its relaxed geometry. The functional is PBE.

Unit cell a=5.724 b=5.724 c=18.567 alpha=90.00 beta=90.00 gamma=120.00
Element x y z (fractional)
Mg: 0.667 0.333 0.455
Mg: 0.000 0.000 0.392
Mg: 0.333 0.667 0.143
Mg: 0.333 0.667 0.955
Mg: 0.667 0.333 0.643
Mg: 0.000 0.000 0.892
O: 0.036 0.518 0.492
O: 0.482 0.518 0.492
O: 0.667 0.333 0.348
O: 0.852 0.148 0.611
O: 0.821 0.642 0.235
O: 0.815 0.630 0.858
O: 0.518 0.482 0.992
O: 0.179 0.358 0.735
O: 0.630 0.815 0.358
O: 0.185 0.815 0.358
O: 0.148 0.852 0.111
O: 0.667 0.333 0.746
O: 0.815 0.185 0.858
O: 0.333 0.667 0.246
O: 0.333 0.667 0.607
O: 0.295 0.148 0.611
O: 0.333 0.667 0.848
O: 0.667 0.333 0.107
O: 0.482 0.964 0.492
O: 0.185 0.370 0.358
O: 0.518 0.036 0.992
O: 0.370 0.185 0.858
O: 0.642 0.821 0.735
O: 0.000 0.000 0.497
O: 0.852 0.705 0.611
O: 0.148 0.295 0.111
O: 0.000 0.000 0.997
O: 0.179 0.821 0.735
O: 0.705 0.852 0.111
O: 0.964 0.482 0.992
O: 0.821 0.179 0.235
O: 0.358 0.179 0.235
Al: 0.996 0.498 0.797
Al: 0.165 0.835 0.552
Al: 0.333 0.667 0.425
Al: 0.667 0.333 0.925
Al: 0.330 0.165 0.052
Al: 0.000 0.000 0.682
Al: 0.498 0.502 0.297
Al: 0.165 0.330 0.552
Al: 0.835 0.670 0.052
Al: 0.004 0.502 0.297
Al: 0.498 0.996 0.297
Al: 0.502 0.498 0.797
Al: 0.670 0.835 0.552
Al: 0.835 0.165 0.052
Al: 0.000 0.000 0.182
Al: 0.502 0.004 0.797
Be: 0.667 0.333 0.192
Be: 0.333 0.667 0.692

The calculation puts the magnetization at 0.0 Bohr magnetons per cell.

Best to worst by energy: version one, version two.

Version one
This record from the Materials Project database describes crystalline Rb2MgFe2S4 at its relaxed geometry. The functional is PBE.

Unit cell a=5.097 b=9.003 c=7.744 alpha=125.54 beta=109.22 gamma=90.00
Element x y z (fractional)
Mg: 0.500 0.225 0.000
Rb: 0.297 0.439 0.593
Rb: 0.703 0.846 0.407
S: 0.651 0.149 0.302
S: 0.349 0.847 0.698
S: 0.000 0.774 0.000
S: 0.000 0.173 0.000
Fe: 0.247 0.963 0.000
Fe: 0.753 0.963 0.000

The calculation puts the magnetization at 2.0 Bohr magnetons per cell.

Version two
This record from the Materials Project database describes crystalline Rb2MgFe2S4 at its relaxed geometry. The functional is PBE.

Unit cell a=5.346 b=6.874 c=6.874 alpha=116.54 beta=102.19 gamma=102.19
Element x y z (fractional)
Mg: 0.250 0.749 0.251
Rb: 0.250 0.356 0.644
Rb: 0.750 0.589 0.411
Fe: 0.250 0.011 0.989
Fe: 0.750 0.012 0.988
S: 0.906 0.729 0.941
S: 0.104 0.305 0.078
S: 0.396 0.922 0.695
S: 0.594 0.059 0.271

The calculation puts the magnetization at 0.0 Bohr magnetons per cell.

Best to worst by energy: version two, version one.

Version one
This record from the Materials Project database describes crystalline Hg at its relaxed geometry. The functional is PBE.

Unit cell a=6.727 b=6.310 c=3.494 alpha=81.17 beta=67.95 gamma=30.88
Element x y z (fractional)
Hg: 0.366 0.366 0.634
Hg: 0.634 0.634 0.366

Version two
This record from the Materials Project database describes crystalline Hg at its relaxed geometry. The functional is PBE.

Unit cell a=4.249 b=3.594 c=3.414 alpha=111.68 beta=128.48 gamma=53.58
Element x y z (fractional)
Hg: 0.000 0.000 0.000

The calculation puts the magnetization at 0.0 Bohr magnetons per cell.

Version three
This record from the Materials Project database describes crystalline Hg at its relaxed geometry. The functional is PBE.

Unit cell a=5.658 b=5.658 c=5.658 alpha=110.45 beta=110.45 gamma=107.53
Element x y z (fractional)
Hg: 0.375 0.921 0.046
Hg: 0.875 0.329 0.954
Hg: 0.079 0.125 0.454
Hg: 0.671 0.625 0.546

The calculation puts the magnetization at 0.0 Bohr magnetons per cell.

Version four
This record from the Materials Project database describes crystalline Hg at its relaxed geometry. The functional is PBE.

Unit cell a=3.291 b=5.560 c=5.560 alpha=120.00 beta=90.00 gamma=90.00
Element x y z (fractional)
Hg: 0.500 0.333 0.667
Hg: 0.000 0.000 0.000
Hg: 0.500 0.667 0.333

Best to worst by energy: version four, version two, version one, version three.